Record 1
The following is a PBE calculation of an optimized crystal structure of KNdS2O8, from the Materials Project database.

a = 8.7744 Å, b = 7.2794 Å, c = 10.7950 Å
α = 90.00°, β = 92.64°, γ = 90.00°
Closest atoms and distances in Å follow each position.
Space group P2_1/c (No. 14)
Symmetry-distinct sites (fractional):
K1 0.0607 0.1511 0.3455  8 O 2.80-3.13
Nd1 0.4433 0.6690 0.6504  9 O 2.45-2.64
S1 0.2270 0.6575 0.4087  4 O 1.45-1.52
S2 0.3183 0.1664 0.6092  4 O 1.45-1.52
O1 0.1061 0.5326 0.3671  1 S 1.45
O2 0.1538 0.1427 0.6062  1 S 1.45
O3 0.1993 0.7476 0.5304  1 S 1.50
O4 0.2545 0.6987 0.8129  1 S 1.50
O5 0.3646 0.1680 0.1889  1 S 1.52
O6 0.3750 0.1804 0.4825  1 S 1.48
O7 0.3760 0.5553 0.4376  1 S 1.52
O8 0.4032 0.0111 0.6765  1 S 1.52

Output
Total magnetic moment: 0.00 Bohr magnetons per cell
Crystal system: monoclinic
Formation energy from the elements: -30.613 eV per formula unit
Energy with MP2020 corrections: -7.03 eV per atom

Record 2
The following is a PBE calculation of an optimized crystal structure of KNdYSbO6, from the Materials Project database.

a = 8.3698 Å, b = 8.3698 Å, c = 8.3698 Å
α = 90.00°, β = 90.00°, γ = 90.00°
Closest atoms and distances in Å follow each position.
Space group F-43m (No. 216)
Symmetry-distinct sites (fractional):
K1 0.0000 0.0000 0.0000  12 O 2.96
Nd1 0.0000 0.0000 0.5000  12 O 2.96
Y1 0.2500 0.2500 0.2500  6 O 2.20
Sb1 0.2500 0.2500 0.7500  6 O 1.98
O1 0.0129 0.2500 0.7500  1 Sb 1.98, 1 Y 2.20

Output
Total magnetic moment: 0.00 Bohr magnetons per cell
Crystal system: cubic
Formation energy from the elements: -28.033 eV per formula unit
Energy with MP2020 corrections: -7.42 eV per atom

The lowest energy with MP2020 corrections belongs to which entry? KNdYSbO6

Number 2 is which compound? KNdYSbO6

What did the second record say?
The following is a PBE calculation of an optimized crystal structure of KNdYSbO6, from the Materials Project database.

a = 8.3698 Å, b = 8.3698 Å, c = 8.3698 Å
α = 90.00°, β = 90.00°, γ = 90.00°
Closest atoms and distances in Å follow each position.
Space group F-43m (No. 216)
Symmetry-distinct sites (fractional):
K1 0.0000 0.0000 0.0000  12 O 2.96
Nd1 0.0000 0.0000 0.5000  12 O 2.96
Y1 0.2500 0.2500 0.2500  6 O 2.20
Sb1 0.2500 0.2500 0.7500  6 O 1.98
O1 0.0129 0.2500 0.7500  1 Sb 1.98, 1 Y 2.20

Output
Total magnetic moment: 0.00 Bohr magnetons per cell
Crystal system: cubic
Formation energy from the elements: -28.033 eV per formula unit
Energy with MP2020 corrections: -7.42 eV per atom

What did the first record say?
The following is a PBE calculation of an optimized crystal structure of KNdS2O8, from the Materials Project database.

a = 8.7744 Å, b = 7.2794 Å, c = 10.7950 Å
α = 90.00°, β = 92.64°, γ = 90.00°
Closest atoms and distances in Å follow each position.
Space group P2_1/c (No. 14)
Symmetry-distinct sites (fractional):
K1 0.0607 0.1511 0.3455  8 O 2.80-3.13
Nd1 0.4433 0.6690 0.6504  9 O 2.45-2.64
S1 0.2270 0.6575 0.4087  4 O 1.45-1.52
S2 0.3183 0.1664 0.6092  4 O 1.45-1.52
O1 0.1061 0.5326 0.3671  1 S 1.45
O2 0.1538 0.1427 0.6062  1 S 1.45
O3 0.1993 0.7476 0.5304  1 S 1.50
O4 0.2545 0.6987 0.8129  1 S 1.50
O5 0.3646 0.1680 0.1889  1 S 1.52
O6 0.3750 0.1804 0.4825  1 S 1.48
O7 0.3760 0.5553 0.4376  1 S 1.52
O8 0.4032 0.0111 0.6765  1 S 1.52

Output
Total magnetic moment: 0.00 Bohr magnetons per cell
Crystal system: monoclinic
Formation energy from the elements: -30.613 eV per formula unit
Energy with MP2020 corrections: -7.03 eV per atom